1.
Computed, not measured: BaSr7Ti7MnO20 after structural relaxation at the PBE with a Hubbard U level of DFT.

```
BaSr7Ti7MnO20
1.0
0.0028 0.0019 11.3324
11.3924 -0.0003 0.0030
-5.6974 15.9461 -5.6656
Ba Sr Ti Mn O
4 28 28 4 80
direct
0.3111 0.0609 0.1241
0.3109 0.5640 0.1227
0.8114 0.0637 0.1243
0.0610 0.8096 0.1229
0.3025 0.0586 0.6049
0.3044 0.5614 0.6089
0.8017 0.0590 0.6057
0.8076 0.5586 0.1143
0.8022 0.5664 0.6067
0.1944 0.4410 0.3854
0.1962 0.4390 0.8898
0.1913 0.9368 0.3804
0.2006 0.9383 0.8945
0.6907 0.4397 0.3827
0.6899 0.4357 0.8884
0.6889 0.9383 0.3788
0.6961 0.9430 0.8957
0.0587 0.3087 0.1168
0.0565 0.2981 0.6096
0.0572 0.7932 0.6057
0.5593 0.3075 0.1163
0.5508 0.2949 0.6090
0.5596 0.8030 0.1162
0.5513 0.7952 0.6034
0.4395 0.1904 0.3834
0.4473 0.2024 0.8925
0.4412 0.6936 0.3812
0.4449 0.7017 0.8894
0.9444 0.1970 0.3836
0.9451 0.2011 0.8915
0.9433 0.6936 0.3843
0.9456 0.7088 0.8927
0.0017 0.0046 0.0023
0.9976 0.9960 0.4943
0.0011 0.5006 0.0026
0.0015 0.5001 0.5018
0.5004 0.0004 0.9996
0.4997 0.9963 0.4962
0.5000 0.4987 0.9964
0.5023 0.4985 0.5009
0.2530 0.2514 0.0037
0.2515 0.2511 0.5013
0.2502 0.7485 0.9978
0.2510 0.7497 0.4985
0.7528 0.2519 0.0029
0.7495 0.2488 0.4952
0.7485 0.7474 0.9964
0.7499 0.7504 0.4949
0.1222 0.1154 0.2540
0.1091 0.0845 0.7492
0.1196 0.6107 0.2520
0.6253 0.1111 0.2514
0.6008 0.0896 0.7490
0.6203 0.6138 0.2500
0.3731 0.3891 0.2528
0.3750 0.8873 0.2523
0.8676 0.3951 0.2524
0.8527 0.4127 0.7487
0.8718 0.8820 0.2506
0.8496 0.9097 0.7492
0.1105 0.5927 0.7496
0.6048 0.6039 0.7486
0.3556 0.4050 0.7489
0.3646 0.9018 0.7491
0.1208 0.1203 0.4908
0.1215 0.1232 0.9922
0.1220 0.6216 0.4922
0.1207 0.6209 0.9914
0.6234 0.1238 0.4954
0.6230 0.1258 0.9977
0.6211 0.6201 0.4885
0.6237 0.6220 0.9941
0.1232 0.3725 0.0006
0.1281 0.3774 0.5053
0.1259 0.8769 0.0013
0.1282 0.8770 0.5056
0.6292 0.3777 0.0057
0.6311 0.3778 0.5080
0.6274 0.8765 0.0071
0.6288 0.8773 0.5042
0.3715 0.1193 0.4909
0.3722 0.1221 0.9930
0.3718 0.6190 0.4899
0.3752 0.6226 0.9949
0.8732 0.1216 0.4953
0.8741 0.1260 0.9953
0.8733 0.6230 0.4950
0.8697 0.6173 0.9895
0.3798 0.3763 0.0042
0.3808 0.3788 0.5070
0.3805 0.8787 0.0056
0.3768 0.8755 0.5029
0.8738 0.3750 0.9987
0.8797 0.3800 0.5079
0.8769 0.8786 0.0041
0.8821 0.8809 0.5108
0.0656 0.0828 0.1318
0.0841 0.0924 0.6431
0.0568 0.5653 0.1269
0.0692 0.5844 0.6274
0.5640 0.0830 0.1323
0.5694 0.0756 0.6337
0.5720 0.5776 0.1311
0.5727 0.5857 0.6252
0.4350 0.4118 0.3707
0.4460 0.4191 0.8735
0.4384 0.9193 0.3728
0.4442 0.9217 0.8721
0.9353 0.4237 0.3716
0.9360 0.3994 0.8527
0.9308 0.9160 0.3724
0.9286 0.9227 0.8633
0.3139 0.3068 0.1297
0.3204 0.2920 0.6247
0.3180 0.8088 0.1299
0.3203 0.7960 0.6268
0.8187 0.3123 0.1296
0.8319 0.2957 0.6443
0.8140 0.7959 0.1302
0.8139 0.8048 0.6359
0.1871 0.2084 0.3721
0.1880 0.1977 0.8559
0.1831 0.6990 0.3713
0.1929 0.7059 0.8714
0.6910 0.2032 0.3728
0.6820 0.1893 0.8645
0.6947 0.7042 0.3713
0.6917 0.7074 0.8725
0.4980 0.0126 0.2599
0.4359 0.0755 0.7483
0.4901 0.5143 0.2581
0.4265 0.5725 0.7486
0.9968 0.0059 0.2582
0.9455 0.0531 0.7482
0.9734 0.5260 0.2521
0.9211 0.5598 0.7494
0.2313 0.4867 0.2527
0.1745 0.4252 0.7495
0.2475 0.0011 0.2574
0.1793 0.9391 0.7497
0.7220 0.4685 0.2517
0.6921 0.4375 0.7485
0.7396 0.9895 0.2514
0.6803 0.9365 0.7493
```

Magnetic moment (μB/cell): 28.5
Space group: P1, No. 1
Energy relative to the elements (eV per formula unit): -115.7

=====

2.
Computed, not measured: Ba2Sr6Ti7MnO24 after structural relaxation at the PBE with a Hubbard U level of DFT.

```
Ba2Sr6Ti7MnO24
1.0
5.5948 -5.5983 0.0000
5.5948 5.5983 0.0000
0.0000 0.0000 7.9083
Ba Sr Ti Mn O
2 6 7 1 24
direct
0.7514 0.7514 0.7514
0.2486 0.2486 0.7514
0.7517 0.7517 0.2483
0.2486 0.7514 0.2484
0.2486 0.7514 0.7517
0.7514 0.2486 0.2484
0.2483 0.2483 0.2483
0.7514 0.2486 0.7517
0.5000 0.0000 0.0026
0.0000 0.0000 0.4952
0.5000 0.0000 0.4974
0.0000 0.5000 0.0026
0.5000 0.5000 0.0028
0.0000 0.5000 0.4974
0.5000 0.5000 0.4974
0.0000 0.0000 0.0012
0.0027 0.7538 0.0047
0.4978 0.7507 0.0045
0.0021 0.7507 0.4957
0.4978 0.7503 0.4957
0.9973 0.2462 0.0047
0.5022 0.2493 0.0045
0.9979 0.2493 0.4957
0.5022 0.2497 0.4957
0.0000 0.0000 0.2464
0.5000 0.0000 0.2494
0.0000 0.0000 0.7548
0.5000 0.0000 0.7508
0.0000 0.5000 0.2494
0.5000 0.5000 0.2498
0.0000 0.5000 0.7508
0.5000 0.5000 0.7504
0.7538 0.0027 0.0047
0.2462 0.9973 0.0047
0.7507 0.0021 0.4957
0.2493 0.9979 0.4957
0.7507 0.4978 0.0045
0.2493 0.5022 0.0045
0.7503 0.4978 0.4957
0.2497 0.5022 0.4957
```

Magnetic moment (μB/cell): 3.0
Space group: Cmm2, No. 35
Energy relative to the elements (eV per formula unit): -135.8

=====

3.
Computed, not measured: BaSr7Ti6Mn2O24 after structural relaxation at the PBE with a Hubbard U level of DFT.

```
BaSr7Ti6Mn2O24
1.0
-7.2702 -2.8820 -0.8668
1.9268 -2.7079 -7.1321
2.3305 -6.8507 3.2307
Ba Sr Ti Mn O
1 7 6 2 24
direct
0.2478 0.2478 0.5000
0.7526 0.2472 0.5000
0.7529 0.2472 0.0000
0.2471 0.2471 0.0000
0.7528 0.7528 0.5000
0.7530 0.7530 0.0000
0.2472 0.7526 0.5000
0.2472 0.7529 0.0000
0.5018 0.9989 0.7511
0.5018 0.9989 0.2489
0.9989 0.5018 0.7511
0.9989 0.5018 0.2489
0.5011 0.5011 0.7511
0.5011 0.5011 0.2489
0.9993 0.9993 0.7511
0.9993 0.9993 0.2489
0.9965 0.2479 0.7535
0.9965 0.2479 0.2465
0.5029 0.2490 0.7530
0.5029 0.2490 0.2470
0.9991 0.7520 0.7509
0.9991 0.7520 0.2491
0.5010 0.7509 0.7511
0.5010 0.7509 0.2489
0.7520 0.9991 0.7509
0.7520 0.9991 0.2491
0.2479 0.9965 0.7535
0.2479 0.9965 0.2465
0.7509 0.5010 0.7511
0.7509 0.5010 0.2489
0.2490 0.5029 0.7530
0.2490 0.5029 0.2470
0.9953 0.9953 0.5000
0.9992 0.9992 0.0000
0.5031 0.9968 0.5000
0.5010 0.9989 0.0000
0.9968 0.5031 0.5000
0.9989 0.5010 0.0000
0.5031 0.5031 0.5000
0.5010 0.5010 0.0000
```

Magnetic moment (μB/cell): 6.1
Space group: Amm2, No. 38
Energy relative to the elements (eV per formula unit): -130.9

=====

4.
Computed, not measured: BaSrMnWO6 after structural relaxation at the PBE with a Hubbard U level of DFT.

```
BaSrMnWO6
1.0
-1.3580 5.2613 2.1409
-3.6393 0.4526 4.5453
2.0383 1.6433 5.2205
Ba Sr Mn W O
1 1 1 1 6
direct
0.7500 0.7500 0.7500
0.2500 0.2500 0.2500
0.0000 0.0000 0.0000
0.5000 0.5000 0.5000
0.7366 0.2634 0.2634
0.2634 0.7366 0.7366
0.7366 0.2634 0.7366
0.2634 0.7366 0.2634
0.7366 0.7366 0.2634
0.2634 0.2634 0.7366
```

Magnetic moment (μB/cell): 5.0
Space group: F-43m, No. 216
Energy relative to the elements (eV per formula unit): -27.3

=====

5.
Computed, not measured: Ba3Ta2MnO9 after structural relaxation at the PBE with a Hubbard U level of DFT.

```
Ba3Ta2MnO9
1.0
7.7833 2.9635 -4.2191
7.8333 -2.1378 4.6086
-3.7880 -9.6605 -5.5611
Ba Ta Mn O
12 8 4 36
direct
0.0000 0.0000 0.5000
0.5000 0.5000 0.7500
0.0000 0.0000 0.0000
0.5000 0.5000 0.2500
0.3350 0.0017 0.3342
0.8350 0.5017 0.5841
0.3350 0.0017 0.8342
0.8350 0.5017 0.0842
0.1650 0.4983 0.4158
0.6649 0.9983 0.6658
0.1650 0.4983 0.9159
0.6650 0.9983 0.1658
0.5803 0.2470 0.4568
0.0803 0.7470 0.7069
0.5803 0.2470 0.9568
0.0803 0.7470 0.2068
0.9197 0.2530 0.2932
0.4197 0.7531 0.5432
0.9197 0.2530 0.7932
0.4197 0.7530 0.0432
0.2501 0.2504 0.6253
0.7500 0.7499 0.8749
0.2500 0.2500 0.1250
0.7501 0.7500 0.3752
0.0000 0.0000 0.2500
0.5000 0.5000 0.5000
0.0000 0.0000 0.7500
0.5000 0.5000 0.0000
0.7500 0.2500 0.3750
0.2500 0.7500 0.6250
0.7500 0.2500 0.8750
0.2500 0.7500 0.1250
0.2500 0.7500 0.3750
0.7500 0.2500 0.6250
0.2500 0.7500 0.8750
0.7500 0.2500 0.1250
0.4271 0.2529 0.3007
0.9271 0.7529 0.5507
0.4271 0.2529 0.8007
0.9271 0.7529 0.0507
0.0729 0.2471 0.4493
0.5729 0.7471 0.6993
0.0729 0.2471 0.9493
0.5729 0.7471 0.1993
0.6658 0.0143 0.4200
0.1658 0.5143 0.6700
0.6658 0.0143 0.9200
0.1658 0.5143 0.1700
0.8342 0.4857 0.3300
0.3342 0.9857 0.5800
0.8342 0.4857 0.8300
0.3342 0.9857 0.0800
0.4271 0.2529 0.5393
0.9271 0.7529 0.7893
0.4271 0.2529 0.0393
0.9271 0.7529 0.2893
0.0729 0.2471 0.2106
0.5729 0.7471 0.4607
0.0729 0.2471 0.7107
0.5729 0.7471 0.9607
```

Magnetic moment (μB/cell): 0.0
Energy relative to the elements (eV per formula unit): -49.1

=====

6.
Computed, not measured: BaTbMn2O5 after structural relaxation at the PBE with a Hubbard U level of DFT.

```
BaTbMn2O5
1.0
3.9854 0.0000 0.0000
0.0000 3.9854 0.0000
0.0000 0.0000 7.8288
Ba Tb Mn O
1 1 2 5
direct
0.5000 0.5000 0.0000
0.5000 0.5000 0.5000
0.0000 0.0000 0.2658
0.0000 0.0000 0.7342
0.0000 0.5000 0.6805
0.5000 0.0000 0.6805
0.0000 0.5000 0.3195
0.5000 0.0000 0.3195
0.0000 0.0000 0.0000
```

Magnetic moment (μB/cell): 9.0
Space group: P4/mmm, No. 123
Energy relative to the elements (eV per formula unit): -25.1
ΔE to the lowest computed polymorph (meV per atom): 3

=====

7.
Computed, not measured: BaTbMn2O6 after structural relaxation at the PBE with a Hubbard U level of DFT.

```
BaTbMn2O6
1.0
3.9030 -3.9749 0.0000
3.9030 3.9749 0.0000
0.0000 0.0000 7.8075
Ba Tb Mn O
2 2 4 12
direct
0.7543 0.2457 0.0000
0.2457 0.7543 0.0000
0.7653 0.2347 0.5000
0.2347 0.7653 0.5000
0.7486 0.7486 0.2583
0.2514 0.2514 0.2583
0.2514 0.2514 0.7417
0.7486 0.7486 0.7417
0.0000 0.5000 0.2868
0.2717 0.2717 0.0000
0.1900 0.1900 0.5000
0.5000 0.5000 0.3131
0.8100 0.8100 0.5000
0.5000 0.0000 0.2868
0.5000 0.5000 0.6869
0.0000 0.0000 0.7614
0.0000 0.5000 0.7132
0.7283 0.7283 0.0000
0.0000 0.0000 0.2386
0.5000 0.0000 0.7132
```

Magnetic moment (μB/cell): 14.0
Space group: Cmmm, No. 65
Energy relative to the elements (eV per formula unit): -26.9
ΔE to the lowest computed polymorph (meV per atom): 0

=====

8.
Computed, not measured: BaTbMn2O5 after structural relaxation at the PBE with a Hubbard U level of DFT.

```
BaTbMn2O5
1.0
5.6307 0.0000 0.0000
0.0000 5.6307 0.0000
0.0000 0.0000 7.8497
Ba Tb Mn O
2 2 4 10
direct
0.0000 0.0000 0.0000
0.5000 0.5000 0.0000
0.0000 0.0000 0.5000
0.5000 0.5000 0.5000
0.0000 0.5000 0.2566
0.5000 0.0000 0.7434
0.0000 0.5000 0.7253
0.5000 0.0000 0.2747
0.2435 0.7435 0.6798
0.7565 0.7435 0.6798
0.2435 0.2565 0.6798
0.7565 0.2565 0.6798
0.2565 0.7565 0.3202
0.7435 0.7565 0.3202
0.2565 0.2435 0.3202
0.7435 0.2435 0.3202
0.0000 0.5000 0.9932
0.5000 0.0000 0.0068
```

Magnetic moment (μB/cell): 18.0
Space group: P4/nmm, No. 129
Energy relative to the elements (eV per formula unit): -25.1
ΔE to the lowest computed polymorph (meV per atom): 0

=====

9.
Computed, not measured: BaTbMn2O6 after structural relaxation at the PBE with a Hubbard U level of DFT.

```
BaTbMn2O6
1.0
5.5826 0.0000 0.0000
0.0001 -7.7902 0.0000
0.0203 -0.0003 -11.1442
Ba Tb Mn O
4 4 8 24
direct
0.7477 0.9982 0.1251
0.2523 0.0018 0.8749
0.7471 0.9979 0.6256
0.2529 0.0021 0.3744
0.7299 0.4967 0.1294
0.2701 0.5033 0.8706
0.7783 0.4956 0.6210
0.2217 0.5044 0.3790
0.2506 0.2601 0.1250
0.7494 0.7399 0.8750
0.2489 0.2553 0.6238
0.7511 0.7447 0.3762
0.2490 0.7415 0.1246
0.7510 0.2585 0.8754
0.2507 0.7457 0.6240
0.7493 0.2543 0.3760
0.5178 0.2751 0.2510
0.4822 0.7249 0.7490
0.4843 0.2763 0.7465
0.5157 0.7237 0.2535
0.5081 0.2702 0.0024
0.4919 0.7298 0.9976
0.4926 0.2812 0.4987
0.5074 0.7188 0.5013
0.2374 0.0004 0.1242
0.7626 0.9996 0.8758
0.2451 0.0002 0.6271
0.7549 0.9998 0.3729
0.3043 0.5006 0.1340
0.6957 0.4994 0.8660
0.2097 0.5004 0.6097
0.7903 0.4996 0.3903
0.0067 0.3018 0.0005
0.9933 0.6982 0.9995
0.9907 0.2627 0.5032
0.0093 0.7373 0.4968
0.0086 0.2896 0.2498
0.9914 0.7104 0.7502
0.9929 0.2890 0.7506
0.0071 0.7110 0.2494
```

Magnetic moment (μB/cell): 28.0
Space group: P-1, No. 2
Energy relative to the elements (eV per formula unit): -26.7
ΔE to the lowest computed polymorph (meV per atom): 19

=====

Among the records above, which one has the lowest magnetic moment?
Ba3Ta2MnO9

=====

Which value of magnetic moment does entry 8 give?
18.0 μB/cell